The following is a GGA-PBE calculation of Ni after structural relaxation, from the Materials Project database.

Cell and atoms, written as extended XYZ:
```
1
Lattice="2.398 0.000 0.000 -1.199 2.077 0.000 0.000 0.000 2.338" Properties=species:S:1:pos:R:3 pbc="T T T"
Ni 0.000 0.000 0.000
```

Results
- Relative energy among the computed polymorphs: 0.410 eV/atom
- Volume: 11.65 Å³ per cell
- Formation energy: 0.410 eV per atom
- Space group: P6/mmm